A relaxed V2Zn3O8 crystal, computed with PBE+U.

Calculated values
**Total DFT energy (no corrections)**: -6.130 eV per atom
**Magnetization**: 0.00 μB per atom
**Symmetry**: Cmce

a b c (Å): 6.642 6.642 8.381
angles (deg): 90.00 90.00 124.55
Fractional coordinates of all 26 atoms:
V  0.122  0.878  0.880
V  0.378  0.622  0.380
V  0.622  0.378  0.620
V  0.878  0.122  0.120
Zn  0.000  0.000  0.500
Zn  0.113  0.387  0.750
Zn  0.387  0.113  0.250
Zn  0.500  0.500  0.000
Zn  0.613  0.887  0.750
Zn  0.887  0.613  0.250
O  0.000  0.000  0.256
O  0.000  0.000  0.744
O  0.110  0.345  0.000
O  0.155  0.390  0.500
O  0.250  0.750  0.274
O  0.250  0.750  0.774
O  0.345  0.110  0.000
O  0.390  0.155  0.500
O  0.500  0.500  0.244
O  0.500  0.500  0.756
O  0.610  0.845  0.500
O  0.655  0.890  0.000
O  0.750  0.250  0.226
O  0.750  0.250  0.726
O  0.845  0.610  0.500
O  0.890  0.655  0.000

***

A relaxed Li3FeB2O6 crystal, computed with PBE+U.

Calculated values
**Total DFT energy (no corrections)**: -6.641 eV per atom
**E above lowest polymorph**: 82 kJ/mol of formula units
**Magnetization**: 0.42 μB per atom
**Symmetry**: P2_1/c

a b c (Å): 5.926 7.808 10.969
angles (deg): 90.00 117.16 90.00
Fractional coordinates of all 48 atoms:
Li  0.057  0.203  0.076
Li  0.057  0.297  0.576
Li  0.271  0.553  0.115
Li  0.271  0.947  0.615
Li  0.380  0.716  0.378
Li  0.380  0.784  0.878
Li  0.620  0.216  0.122
Li  0.620  0.284  0.622
Li  0.729  0.053  0.385
Li  0.729  0.447  0.885
Li  0.943  0.703  0.424
Li  0.943  0.797  0.924
Fe  0.102  0.123  0.834
Fe  0.102  0.377  0.334
Fe  0.898  0.623  0.666
Fe  0.898  0.877  0.166
B  0.194  0.060  0.392
B  0.194  0.440  0.892
B  0.365  0.593  0.628
B  0.365  0.907  0.128
B  0.635  0.093  0.872
B  0.635  0.407  0.372
B  0.806  0.560  0.108
B  0.806  0.940  0.608
O  0.120  0.117  0.259
O  0.120  0.383  0.759
O  0.151  0.607  0.913
O  0.151  0.893  0.413
O  0.232  0.528  0.497
O  0.232  0.972  0.997
O  0.238  0.703  0.677
O  0.238  0.797  0.177
O  0.280  0.184  0.494
O  0.280  0.316  0.994
O  0.381  0.053  0.792
O  0.381  0.447  0.292
O  0.619  0.553  0.708
O  0.619  0.947  0.208
O  0.720  0.684  0.006
O  0.720  0.816  0.506
O  0.762  0.203  0.823
O  0.762  0.297  0.323
O  0.768  0.028  0.003
O  0.768  0.472  0.503
O  0.849  0.107  0.587
O  0.849  0.393  0.087
O  0.880  0.617  0.241
O  0.880  0.883  0.741

***

A relaxed CaY5Mo2O12 crystal, computed with PBE+U.

Calculated values
**Total DFT energy (no corrections)**: -8.211 eV per atom
**E above lowest polymorph**: 104 kJ/mol of formula units
**Magnetization**: 0.25 μB per atom
**Symmetry**: P1

a b c (Å): 6.091 6.558 8.917
angles (deg): 107.29 90.65 117.16
Fractional coordinates of all 20 atoms:
Ca  0.000  0.000  0.000
Y  0.063  0.143  0.677
Y  0.101  0.215  0.332
Y  0.441  0.892  0.776
Y  0.446  0.909  0.375
Y  0.757  0.534  0.605
Mo  0.011  0.534  0.031
Mo  0.523  0.537  0.036
O  0.137  0.803  0.582
O  0.186  0.917  0.193
O  0.237  0.475  0.192
O  0.293  0.581  0.868
O  0.322  0.174  0.880
O  0.364  0.237  0.510
O  0.636  0.799  0.574
O  0.700  0.904  0.180
O  0.713  0.455  0.154
O  0.794  0.603  0.869
O  0.838  0.160  0.874
O  0.853  0.235  0.504

***

A relaxed Sr3TaCoO7 crystal, computed with PBE+U.

Calculated values
**Total DFT energy (no corrections)**: -7.266 eV per atom
**E above lowest polymorph**: 22 kJ/mol of formula units
**Magnetization**: 0.00 μB per atom
**Symmetry**: P1

a b c (Å): 3.965 7.897 21.534
angles (deg): 90.01 90.03 90.02
Fractional coordinates of all 48 atoms:
Sr  0.000  0.000  0.000
Sr  0.000  0.001  0.164
Sr  0.001  0.496  0.375
Sr  0.001  0.995  0.376
Sr  0.496  0.741  0.663
Sr  0.497  0.249  0.663
Sr  0.499  0.244  0.874
Sr  0.499  0.747  0.875
Sr  0.503  0.749  0.501
Sr  0.504  0.243  0.500
Sr  0.999  0.490  0.164
Sr  0.999  0.491  0.000
Ta  0.500  0.245  0.282
Ta  0.500  0.746  0.281
Ta  0.999  0.496  0.782
Ta  0.999  0.995  0.780
Co  0.000  0.996  0.580
Co  0.498  0.746  0.078
Co  0.500  0.245  0.075
Co  0.999  0.496  0.575
O  0.000  0.245  0.086
O  0.000  0.245  0.786
O  0.000  0.246  0.286
O  0.000  0.496  0.694
O  0.000  0.497  0.879
O  0.000  0.745  0.286
O  0.000  0.746  0.786
O  0.001  0.746  0.087
O  0.001  0.995  0.877
O  0.001  0.996  0.690
O  0.498  0.995  0.585
O  0.499  0.496  0.584
O  0.499  0.496  0.788
O  0.500  0.002  0.086
O  0.500  0.243  0.378
O  0.500  0.244  0.983
O  0.500  0.247  0.193
O  0.500  0.489  0.085
O  0.500  0.496  0.287
O  0.500  0.744  0.191
O  0.500  0.748  0.377
O  0.500  0.995  0.286
O  0.500  0.995  0.785
O  0.501  0.747  0.986
O  0.997  0.995  0.486
O  0.998  0.258  0.587
O  0.998  0.496  0.483
O  0.998  0.733  0.587

***

A relaxed LiVO3 crystal, computed with PBE+U.

Calculated values
**Total DFT energy (no corrections)**: -6.838 eV per atom
**Magnetization**: 0.00 μB per atom
**Symmetry**: C2/c

a b c (Å): 7.411 7.411 5.724
angles (deg): 109.01 109.01 86.31
Fractional coordinates of all 20 atoms:
Li  0.163  0.837  0.750
Li  0.198  0.802  0.250
Li  0.802  0.198  0.750
Li  0.837  0.163  0.250
V  0.208  0.390  0.764
V  0.390  0.208  0.264
V  0.610  0.792  0.736
V  0.792  0.610  0.236
O  0.016  0.236  0.625
O  0.145  0.616  0.882
O  0.236  0.016  0.125
O  0.322  0.378  0.524
O  0.378  0.322  0.024
O  0.384  0.855  0.618
O  0.616  0.145  0.382
O  0.622  0.678  0.976
O  0.678  0.622  0.476
O  0.764  0.984  0.875
O  0.855  0.384  0.118
O  0.984  0.764  0.375

***

A relaxed CaFe6O4F8 crystal, computed with PBE+U.

Calculated values
**Total DFT energy (no corrections)**: -5.885 eV per atom
**E above lowest polymorph**: 44 kJ/mol of formula units
**Magnetization**: 1.37 μB per atom
**Symmetry**: P1

a b c (Å): 6.108 6.315 7.976
angles (deg): 100.84 101.71 115.06
Fractional coordinates of all 19 atoms:
Ca  0.000  0.000  0.000
Fe  0.052  0.946  0.443
Fe  0.086  0.583  0.107
Fe  0.425  0.569  0.544
Fe  0.485  0.961  0.877
Fe  0.553  0.211  0.263
Fe  0.952  0.381  0.715
O  0.123  0.296  0.570
O  0.135  0.697  0.897
O  0.211  0.930  0.243
O  0.863  0.257  0.907
F  0.283  0.463  0.247
F  0.291  0.838  0.597
F  0.398  0.214  0.989
F  0.607  0.706  0.826
F  0.648  0.349  0.544
F  0.713  0.008  0.159
F  0.757  0.832  0.542
F  0.848  0.526  0.257

***

Q: Number 2 is which compound?
A: Li3FeB2O6